(1)
VASP calculation (PBE+U) on a relaxed structure of Li8MnFe7B8O24.

Calculated values
VASP energy ... -6.9777 eV per atom
Symmetry ... P1
Formation energy from the elements ... -2.35 eV/atom
ΔE to the lowest computed polymorph ... 0 meV/atom

Cell: 5.229 9.055 11.513 Å, 67.85 77.46 89.78°
Positions (direct):
Li  0.000  0.000  0.000
Li  0.024  0.040  0.250
Li  0.263  0.241  0.501
Li  0.305  0.275  0.753
Li  0.498  0.498  0.001
Li  0.525  0.537  0.251
Li  0.765  0.743  0.501
Li  0.809  0.776  0.751
Mn  0.052  0.717  0.216
Fe  0.014  0.350  0.967
Fe  0.262  0.926  0.469
Fe  0.322  0.627  0.716
Fe  0.527  0.850  0.963
Fe  0.546  0.213  0.219
Fe  0.764  0.427  0.468
Fe  0.822  0.132  0.714
B  0.027  0.679  0.959
B  0.057  0.387  0.212
B  0.271  0.597  0.462
B  0.320  0.967  0.711
B  0.524  0.179  0.960
B  0.561  0.892  0.209
B  0.771  0.098  0.461
B  0.819  0.468  0.711
O  0.024  0.622  0.433
O  0.055  0.439  0.749
O  0.126  0.790  0.999
O  0.191  0.568  0.930
O  0.191  0.855  0.681
O  0.209  0.110  0.699
O  0.269  0.178  0.946
O  0.327  0.406  0.198
O  0.392  0.702  0.500
O  0.392  0.992  0.250
O  0.396  0.467  0.449
O  0.459  0.771  0.180
O  0.525  0.124  0.431
O  0.556  0.937  0.749
O  0.625  0.289  0.001
O  0.690  0.355  0.682
O  0.691  0.070  0.930
O  0.709  0.612  0.698
O  0.769  0.676  0.947
O  0.829  0.913  0.196
O  0.890  0.488  0.253
O  0.891  0.201  0.502
O  0.897  0.968  0.448
O  0.952  0.270  0.181



(2)
VASP calculation (PBE+U) on a relaxed structure of LiFe2B2O6.

Calculated values
VASP energy ... -7.1012 eV per atom
Symmetry ... P1
Formation energy from the elements ... -2.26 eV/atom
ΔE to the lowest computed polymorph ... 20 meV/atom

Cell: 5.281 9.034 11.283 Å, 66.82 77.89 89.62°
Positions (direct):
Li  0.000  0.000  0.000
Li  0.183  0.863  0.259
Li  0.437  0.138  0.751
Li  0.751  0.746  0.519
Fe  0.007  0.354  0.971
Fe  0.203  0.542  0.241
Fe  0.263  0.939  0.477
Fe  0.453  0.484  0.734
Fe  0.514  0.831  0.989
Fe  0.693  0.060  0.223
Fe  0.749  0.417  0.481
Fe  0.949  0.960  0.735
B  0.013  0.679  0.982
B  0.195  0.218  0.228
B  0.264  0.605  0.474
B  0.474  0.817  0.723
B  0.496  0.184  0.972
B  0.719  0.721  0.228
B  0.741  0.083  0.485
B  0.943  0.294  0.737
O  0.061  0.402  0.773
O  0.066  0.153  0.745
O  0.139  0.748  0.462
O  0.151  0.496  0.438
O  0.219  0.666  0.043
O  0.243  0.854  0.678
O  0.291  0.062  0.280
O  0.304  0.342  0.244
O  0.376  0.052  0.969
O  0.383  0.331  0.941
O  0.469  0.729  0.199
O  0.496  0.584  0.515
O  0.565  0.921  0.775
O  0.609  0.697  0.708
O  0.618  0.211  0.488
O  0.644  0.973  0.440
O  0.709  0.318  0.698
O  0.738  0.174  0.009
O  0.829  0.576  0.271
O  0.854  0.864  0.207
O  0.907  0.556  0.965
O  0.914  0.834  0.934
O  0.966  0.040  0.535
O  0.991  0.230  0.167



(3)
VASP calculation (PBE+U) on a relaxed structure of LiFe2B2O6.

Calculated values
VASP energy ... -7.1161 eV per atom
Symmetry ... P1
Formation energy from the elements ... -2.27 eV/atom
ΔE to the lowest computed polymorph ... 5 meV/atom

Cell: 5.276 9.048 10.174 Å, 90.11 91.06 90.41°
Positions (direct):
Li  0.000  0.000  0.000
Li  0.037  0.011  0.492
Li  0.532  0.514  0.505
Li  0.680  0.351  0.783
Fe  0.025  0.344  0.030
Fe  0.033  0.684  0.537
Fe  0.166  0.519  0.284
Fe  0.175  0.171  0.775
Fe  0.493  0.830  0.030
Fe  0.531  0.181  0.531
Fe  0.664  0.014  0.280
Fe  0.670  0.690  0.781
B  0.018  0.344  0.533
B  0.174  0.513  0.783
B  0.176  0.183  0.282
B  0.521  0.848  0.531
B  0.525  0.175  0.032
B  0.673  0.016  0.788
B  0.676  0.682  0.290
B  0.993  0.680  0.031
O  0.012  0.069  0.301
O  0.018  0.625  0.739
O  0.059  0.384  0.833
O  0.088  0.316  0.228
O  0.096  0.549  0.084
O  0.126  0.808  0.038
O  0.142  0.213  0.565
O  0.161  0.464  0.486
O  0.262  0.176  0.006
O  0.265  0.855  0.529
O  0.428  0.171  0.319
O  0.434  0.521  0.774
O  0.513  0.566  0.312
O  0.537  0.886  0.815
O  0.548  0.141  0.741
O  0.591  0.811  0.234
O  0.635  0.045  0.080
O  0.648  0.722  0.578
O  0.669  0.967  0.484
O  0.675  0.295  0.004
O  0.751  0.672  0.974
O  0.762  0.357  0.551
O  0.927  0.018  0.813
O  0.928  0.669  0.329



(4)
VASP calculation (PBE+U) on a relaxed structure of LiFe2B2O6.

Calculated values
VASP energy ... -7.1022 eV per atom
Symmetry ... P1
Formation energy from the elements ... -2.26 eV/atom
ΔE to the lowest computed polymorph ... 19 meV/atom

Cell: 5.316 9.059 11.246 Å, 113.06 101.92 90.75°
Positions (direct):
Li  0.000  0.000  0.000
Li  0.052  0.365  0.742
Li  0.555  0.859  0.733
Li  0.807  0.115  0.251
Fe  0.014  0.340  0.018
Fe  0.068  0.718  0.765
Fe  0.255  0.918  0.513
Fe  0.319  0.293  0.271
Fe  0.510  0.829  0.023
Fe  0.557  0.222  0.771
Fe  0.754  0.420  0.515
Fe  0.805  0.782  0.278
B  0.007  0.675  0.018
B  0.062  0.050  0.776
B  0.270  0.588  0.523
B  0.301  0.962  0.269
B  0.519  0.164  0.017
B  0.558  0.549  0.770
B  0.766  0.087  0.527
B  0.815  0.449  0.268
O  0.025  0.407  0.208
O  0.039  0.582  0.562
O  0.097  0.530  0.997
O  0.134  0.787  0.985
O  0.164  0.082  0.252
O  0.209  0.860  0.319
O  0.277  0.191  0.045
O  0.289  0.024  0.731
O  0.382  0.734  0.541
O  0.391  0.449  0.477
O  0.416  0.422  0.768
O  0.477  0.706  0.819
O  0.535  0.083  0.566
O  0.538  0.935  0.228
O  0.642  0.036  0.032
O  0.645  0.264  0.977
O  0.698  0.582  0.281
O  0.724  0.336  0.314
O  0.787  0.530  0.724
O  0.790  0.719  0.068
O  0.871  0.229  0.531
O  0.891  0.949  0.489
O  0.930  0.930  0.794
O  0.971  0.203  0.810



(5)
VASP calculation (PBE+U) on a relaxed structure of Li4Fe3B4O12.

Calculated values
VASP energy ... -6.8898 eV per atom
Symmetry ... Pc
Formation energy from the elements ... -2.36 eV/atom

Cell: 5.252 8.949 11.053 Å, 90.00 115.92 90.00°
Positions (direct):
Li  0.000  0.087  0.000
Li  0.000  0.913  0.500
Li  0.066  0.237  0.563
Li  0.066  0.763  0.063
Li  0.440  0.237  0.960
Li  0.440  0.763  0.460
Li  0.634  0.264  0.771
Li  0.634  0.736  0.271
Fe  0.017  0.301  0.213
Fe  0.017  0.699  0.713
Fe  0.521  0.430  0.512
Fe  0.521  0.570  0.012
Fe  0.566  0.062  0.258
Fe  0.566  0.938  0.758
B  0.107  0.059  0.763
B  0.107  0.941  0.263
B  0.519  0.089  0.515
B  0.519  0.911  0.015
B  0.568  0.409  0.255
B  0.568  0.591  0.755
B  0.995  0.427  0.997
B  0.995  0.573  0.497
O  0.163  0.085  0.227
O  0.163  0.915  0.727
O  0.243  0.413  0.984
O  0.243  0.587  0.484
O  0.294  0.168  0.768
O  0.294  0.832  0.268
O  0.370  0.416  0.308
O  0.370  0.584  0.808
O  0.410  0.227  0.530
O  0.410  0.773  0.030
O  0.424  0.039  0.054
O  0.424  0.961  0.554
O  0.660  0.467  0.712
O  0.660  0.533  0.212
O  0.672  0.270  0.242
O  0.672  0.730  0.742
O  0.718  0.081  0.464
O  0.718  0.919  0.964
O  0.845  0.298  0.000
O  0.845  0.702  0.500
O  0.877  0.082  0.790
O  0.877  0.918  0.290
O  0.898  0.435  0.516
O  0.898  0.565  0.016



(6)
VASP calculation (PBE+U) on a relaxed structure of Li2Fe3B3O9.

Calculated values
VASP energy ... -6.7508 eV per atom
Symmetry ... Pm
Formation energy from the elements ... -2.00 eV/atom

Cell: 8.162 6.118 8.214 Å, 90.00 119.75 90.00°
Positions (direct):
Li  0.000  0.000  0.000
Li  0.004  0.500  0.003
Li  0.431  0.000  0.667
Li  0.697  0.500  0.267
Fe  0.071  0.251  0.361
Fe  0.071  0.749  0.361
Fe  0.347  0.251  0.968
Fe  0.347  0.749  0.968
Fe  0.712  0.249  0.609
Fe  0.712  0.751  0.609
B  0.033  0.500  0.652
B  0.042  0.000  0.651
B  0.372  0.500  0.309
B  0.374  0.000  0.310
B  0.708  0.249  0.973
B  0.708  0.751  0.973
O  0.231  0.500  0.774
O  0.245  0.000  0.776
O  0.245  0.500  0.369
O  0.248  0.000  0.376
O  0.300  0.000  0.112
O  0.300  0.500  0.110
O  0.563  0.000  0.431
O  0.566  0.500  0.420
O  0.608  0.233  0.784
O  0.608  0.264  0.074
O  0.608  0.736  0.074
O  0.608  0.767  0.784
O  0.903  0.252  0.075
O  0.903  0.748  0.075
O  0.918  0.500  0.730
O  0.928  0.000  0.730
O  0.963  0.500  0.460
O  0.978  0.000  0.464



(7)
VASP calculation (PBE+U) on a relaxed structure of Li3Fe2B2O8.

Calculated values
VASP energy ... -6.5343 eV per atom
Symmetry ... Pc
Formation energy from the elements ... -2.16 eV/atom

Cell: 6.638 5.197 10.944 Å, 90.00 97.18 90.00°
Positions (direct):
Li  0.000  0.089  0.000
Li  0.000  0.911  0.500
Li  0.683  0.402  0.145
Li  0.683  0.598  0.645
Li  0.887  0.103  0.722
Li  0.887  0.897  0.222
Fe  0.278  0.403  0.587
Fe  0.278  0.597  0.087
Fe  0.293  0.086  0.278
Fe  0.293  0.914  0.778
B  0.596  0.075  0.502
B  0.596  0.925  0.002
B  0.997  0.418  0.363
B  0.997  0.582  0.863
O  0.049  0.152  0.354
O  0.049  0.848  0.854
O  0.077  0.451  0.970
O  0.077  0.549  0.470
O  0.169  0.099  0.643
O  0.169  0.901  0.143
O  0.395  0.366  0.205
O  0.395  0.634  0.705
O  0.504  0.026  0.892
O  0.504  0.974  0.392
O  0.534  0.317  0.537
O  0.534  0.683  0.037
O  0.742  0.060  0.072
O  0.742  0.940  0.572
O  0.883  0.460  0.771
O  0.883  0.540  0.271



(8)
VASP calculation (PBE+U) on a relaxed structure of LiFe2B2O6.

Calculated values
VASP energy ... -7.1050 eV per atom
Symmetry ... P1
Formation energy from the elements ... -2.26 eV/atom
ΔE to the lowest computed polymorph ... 16 meV/atom

Cell: 5.237 9.098 11.358 Å, 67.44 76.82 89.34°
Positions (direct):
Li  0.000  0.000  0.000
Li  0.015  0.029  0.258
Li  0.306  0.282  0.744
Li  0.750  0.738  0.514
Fe  0.024  0.348  0.976
Fe  0.033  0.704  0.229
Fe  0.253  0.941  0.479
Fe  0.290  0.634  0.730
Fe  0.512  0.832  0.979
Fe  0.548  0.220  0.220
Fe  0.764  0.414  0.474
Fe  0.817  0.110  0.724
B  0.012  0.681  0.971
B  0.050  0.371  0.231
B  0.261  0.589  0.483
B  0.314  0.960  0.734
B  0.519  0.163  0.977
B  0.544  0.893  0.216
B  0.752  0.092  0.465
B  0.799  0.462  0.719
O  0.013  0.600  0.450
O  0.041  0.450  0.755
O  0.129  0.781  0.015
O  0.166  0.580  0.923
O  0.185  0.091  0.734
O  0.226  0.858  0.683
O  0.266  0.178  0.959
O  0.310  0.372  0.223
O  0.348  0.705  0.522
O  0.390  0.001  0.257
O  0.412  0.466  0.480
O  0.423  0.793  0.176
O  0.530  0.126  0.416
O  0.537  0.925  0.784
O  0.635  0.258  0.025
O  0.655  0.591  0.712
O  0.670  0.049  0.945
O  0.708  0.344  0.684
O  0.752  0.680  0.977
O  0.811  0.893  0.213
O  0.838  0.191  0.518
O  0.885  0.962  0.459
O  0.897  0.471  0.280
O  0.932  0.268  0.188



(9)
VASP calculation (PBE+U) on a relaxed structure of Li5Fe6B6O18.

Calculated values
VASP energy ... -6.9419 eV per atom
Symmetry ... Cm
Formation energy from the elements ... -2.27 eV/atom
ΔE to the lowest computed polymorph ... 42 meV/atom

Cell: 8.770 8.770 8.248 Å, 117.64 117.64 41.65°
Positions (direct):
Li  0.000  0.000  0.000
Li  0.293  0.293  0.267
Li  0.501  0.501  0.002
Li  0.659  0.659  0.587
Li  0.792  0.792  0.271
Fe  0.086  0.575  0.646
Fe  0.219  0.731  0.300
Fe  0.389  0.903  0.909
Fe  0.575  0.086  0.646
Fe  0.731  0.219  0.300
Fe  0.903  0.389  0.909
B  0.321  0.321  0.960
B  0.406  0.898  0.283
B  0.484  0.484  0.622
B  0.817  0.817  0.954
B  0.898  0.406  0.283
B  0.979  0.979  0.617
O  0.016  0.016  0.498
O  0.040  0.040  0.811
O  0.224  0.224  0.886
O  0.304  0.803  0.175
O  0.360  0.360  0.846
O  0.378  0.378  0.153
O  0.387  0.387  0.546
O  0.454  0.954  0.190
O  0.463  0.928  0.472
O  0.524  0.524  0.507
O  0.543  0.543  0.816
O  0.720  0.720  0.868
O  0.803  0.304  0.175
O  0.859  0.859  0.843
O  0.872  0.872  0.147
O  0.883  0.883  0.546
O  0.928  0.463  0.472
O  0.954  0.454  0.190